No. 1
First-principles (PBE with a Hubbard U) data for an optimized crystal structure of Na3FeF6, as listed in Materials Project.

a b c (Å): 5.571 5.816 9.780
angles (deg): 90.00 124.32 90.00
Space group P2_1/c (No. 14)
Asymmetric unit:
Na1 0.000 0.000 0.000 (multiplicity 2)
Na2 0.228 0.058 0.744 (multiplicity 4)
Fe1 0.500 0.000 0.500 (multiplicity 2)
F1 0.159 0.177 0.447 (multiplicity 4)
F2 0.260 0.720 0.427 (multiplicity 4)
F3 0.394 0.059 0.274 (multiplicity 4)

No. 2
First-principles (PBE with a Hubbard U) data for an optimized crystal structure of HfMg6VO8, as listed in Materials Project.

a b c (Å): 4.366 4.366 8.805
angles (deg): 90.00 90.00 90.00
Space group P4/mmm (No. 123)
Asymmetric unit:
Hf1 0.000 0.000 0.000 (multiplicity 1)
Mg1 0.000 0.500 0.258 (multiplicity 4)
Mg2 0.500 0.500 0.000 (multiplicity 1)
Mg3 0.500 0.500 0.500 (multiplicity 1)
V1 0.000 0.000 0.500 (multiplicity 1)
O1 0.000 0.000 0.253 (multiplicity 2)
O2 0.000 0.500 0.000 (multiplicity 2)
O3 0.000 0.500 0.500 (multiplicity 2)
O4 0.500 0.500 0.252 (multiplicity 2)

No. 3
First-principles (PBE with a Hubbard U) data for an optimized crystal structure of LiVF4, as listed in Materials Project.

a b c (Å): 12.714 4.079 6.646
angles (deg): 90.00 107.05 90.00
Space group C2/m (No. 12)
Asymmetric unit:
Li1 0.087 0.000 0.204 (multiplicity 4)
V1 0.204 0.000 0.798 (multiplicity 4)
F1 0.072 0.000 0.883 (multiplicity 4)
F2 0.138 0.000 0.510 (multiplicity 4)
F3 0.147 0.500 0.204 (multiplicity 4)
F4 0.224 0.500 0.858 (multiplicity 4)

E in eV for the cell shown, matching the order above: -95.75, -104.24, -135.86
E_form in eV per atom, matching the order above: -2.898, -2.701, -3.143